No. 1
An optimized crystal structure of Li2MnF6. Source: the Materials Project, functional PBE with a Hubbard U.

Unit cell a=8.468 b=8.476 c=10.128 alpha=85.25 beta=85.83 gamma=61.39
Space group P1 (No. 1)
Symmetry-distinct sites (fractional):
1 Li 0.000 0.000 0.000 x1
2 Li 0.008 0.421 0.540 x1
3 Li 0.063 0.060 0.336 x1
4 Li 0.127 0.249 0.820 x1
5 Li 0.349 0.329 0.301 x1
6 Li 0.373 0.755 0.831 x1
7 Li 0.392 0.393 0.734 x1
8 Li 0.490 0.561 0.227 x1
9 Li 0.562 0.834 0.323 x1
10 Li 0.655 0.035 0.807 x1
11 Li 0.741 0.698 0.044 x1
12 Li 0.829 0.901 0.516 x1
13 Mn 0.013 0.707 0.771 x1
14 Mn 0.020 0.701 0.267 x1
15 Mn 0.348 0.041 0.066 x1
16 Mn 0.352 0.039 0.568 x1
17 Mn 0.679 0.372 0.977 x1
18 Mn 0.681 0.373 0.478 x1
19 F 0.075 0.782 0.612 x1
20 F 0.082 0.785 0.112 x1
21 F 0.096 0.474 0.709 x1
22 F 0.105 0.475 0.214 x1
23 F 0.131 0.130 0.655 x1
24 F 0.133 0.111 0.158 x1
25 F 0.246 0.620 0.826 x1
26 F 0.249 0.621 0.324 x1
27 F 0.251 0.968 0.936 x1
28 F 0.262 0.260 0.470 x1
29 F 0.267 0.253 0.970 x1
30 F 0.284 0.952 0.434 x1
31 F 0.424 0.133 0.700 x1
32 F 0.429 0.828 0.663 x1
33 F 0.433 0.110 0.198 x1
34 F 0.442 0.815 0.157 x1
35 F 0.463 0.455 0.069 x1
36 F 0.467 0.457 0.572 x1
37 F 0.567 0.949 0.969 x1
38 F 0.573 0.956 0.476 x1
39 F 0.581 0.314 0.343 x1
40 F 0.598 0.282 0.847 x1
41 F 0.601 0.595 0.380 x1
42 F 0.602 0.591 0.884 x1
43 F 0.745 0.471 0.104 x1
44 F 0.757 0.150 0.562 x1
45 F 0.767 0.155 0.070 x1
46 F 0.776 0.446 0.600 x1
47 F 0.784 0.804 0.708 x1
48 F 0.789 0.772 0.208 x1
49 F 0.902 0.290 0.388 x1
50 F 0.905 0.281 0.893 x1
51 F 0.937 0.928 0.839 x1
52 F 0.938 0.925 0.338 x1
53 F 0.942 0.631 0.926 x1
54 F 0.943 0.640 0.432 x1

Properties
The value obtained for the energy relative to the lowest polymorph listed for this composition is 26 meV per atom. The formation enthalpy at 0 K comes out at -2839 meV/atom. The total energy comes out at -273.50 eV for the cell shown.


No. 2
An optimized crystal structure of Li3MnF6. Source: the Materials Project, functional PBE with a Hubbard U.

Unit cell a=5.100 b=8.951 c=9.647 alpha=90.00 beta=92.62 gamma=90.00
Space group Cc (No. 9)
Symmetry-distinct sites (fractional):
1 Li 0.000 0.006 0.000 x4
2 Li 0.475 0.156 0.802 x4
3 Li 0.492 0.170 0.199 x4
4 Mn 0.488 0.166 0.501 x4
5 F 0.135 0.171 0.875 x4
6 F 0.145 0.479 0.884 x4
7 F 0.180 0.167 0.385 x4
8 F 0.291 0.340 0.119 x4
9 F 0.324 0.005 0.626 x4
10 F 0.342 0.315 0.618 x4

Properties
The value obtained for the energy relative to the lowest polymorph listed for this composition is 35 meV per atom. The formation enthalpy at 0 K comes out at -2993 meV/atom. The total energy comes out at -207.46 eV for the cell shown.


No. 3
An optimized crystal structure of LiMnF3. Source: the Materials Project, functional PBE with a Hubbard U.

Unit cell a=8.443 b=5.414 c=5.259 alpha=90.00 beta=90.00 gamma=90.00
Space group Pna2_1 (No. 33)
Symmetry-distinct sites (fractional):
1 Li 0.005 0.131 0.000 x4
2 Mn 0.175 0.644 0.036 x4
3 F 0.006 0.437 0.827 x4
4 F 0.157 0.991 0.258 x4
5 F 0.158 0.942 0.761 x4

Properties
The value obtained for the energy relative to the lowest polymorph listed for this composition is 57 meV per atom. The formation enthalpy at 0 K comes out at -2968 meV/atom. The total energy comes out at -114.40 eV for the cell shown.